NaMoC2NO9: relaxed, GGA+U.

Computed properties:
ΔE_f: -0.777 eV per atom
SG: P2_1/c, No. 14

Unit cell a=10.1576 b=15.3480 c=6.7610 alpha=90.00 beta=90.85 gamma=90.00
Closest atoms and distances in Å follow each position.
Sites, in units of the cell vectors:
Na 0.1064 0.1096 0.0210  3 O 2.29-2.54
Na 0.1064 0.3904 0.5210  3 O 2.29-2.54
Na 0.8936 0.6096 0.4790  3 O 2.29-2.54
Na 0.8936 0.8904 0.9790  3 O 2.29-2.54
Mo 0.4250 0.2313 0.5581  2 O 1.73-1.78
Mo 0.4250 0.2687 0.0581  2 O 1.73-1.78
Mo 0.5750 0.7313 0.9419  2 O 1.73-1.78
Mo 0.5750 0.7687 0.4419  2 O 1.73-1.78
C 0.1406 0.7042 0.9447  2 O 1.17-1.18
C 0.1406 0.7958 0.4447  2 O 1.17-1.18
C 0.2850 0.5773 0.4918  2 O 1.17-1.18
C 0.2850 0.9227 0.9918  2 O 1.17-1.18
C 0.7150 0.0773 0.0082  2 O 1.17-1.18
C 0.7150 0.4227 0.5082  2 O 1.17-1.18
C 0.8594 0.2042 0.5553  2 O 1.17-1.18
C 0.8594 0.2958 0.0553  2 O 1.17-1.18
N 0.3703 0.0211 0.3002  1 O 2.47, 1 C 2.71
N 0.3703 0.4789 0.8002  1 O 2.47, 1 C 2.71
N 0.6297 0.5211 0.1998  1 O 2.47, 1 C 2.71
N 0.6297 0.9789 0.6998  1 O 2.47, 1 C 2.71
O 0.0022 0.0364 0.3030  1 O 1.29
O 0.0022 0.4636 0.8030  1 O 1.29
O 0.0402 0.0426 0.6903  1 O 1.29
O 0.0402 0.4574 0.1903  1 O 1.29
O 0.0476 0.7475 0.9786  1 C 1.18
O 0.0476 0.7525 0.4786  1 C 1.18
O 0.1751 0.5581 0.5253  1 C 1.18
O 0.1751 0.9419 0.0253  1 C 1.18
O 0.2353 0.6636 0.9110  1 C 1.17
O 0.2353 0.8364 0.4110  1 C 1.17
O 0.2860 0.1992 0.0325  1 Mo 1.78
O 0.2860 0.3008 0.5325  1 Mo 1.78
O 0.3796 0.1229 0.5830  1 Mo 1.73
O 0.3796 0.3771 0.0830  1 Mo 1.73
O 0.3927 0.5980 0.4548  1 C 1.17
O 0.3927 0.9020 0.9548  1 C 1.17
O 0.4853 0.7410 0.1934  2 Mo 1.95
O 0.4853 0.7590 0.6934  2 Mo 1.95
O 0.5147 0.2410 0.3066  2 Mo 1.95
O 0.5147 0.2590 0.8066  2 Mo 1.95
O 0.6073 0.0980 0.0452  1 C 1.17
O 0.6073 0.4020 0.5452  1 C 1.17
O 0.6204 0.6229 0.9170  1 Mo 1.73
O 0.6204 0.8771 0.4170  1 Mo 1.73
O 0.7140 0.6992 0.4675  1 Mo 1.78
O 0.7140 0.8008 0.9675  1 Mo 1.78
O 0.7647 0.1636 0.5890  1 C 1.17
O 0.7647 0.3364 0.0890  1 C 1.17
O 0.8249 0.0581 0.9747  1 C 1.18
O 0.8249 0.4419 0.4747  1 C 1.18
O 0.9524 0.2475 0.5214  1 C 1.18
O 0.9524 0.2525 0.0214  1 C 1.18
O 0.9598 0.5426 0.8097  1 O 1.29
O 0.9598 0.9574 0.3097  1 O 1.29
O 0.9978 0.5364 0.1970  1 O 1.29
O 0.9978 0.9636 0.6970  1 O 1.29